VASP calculation (PBE) on an optimized crystal structure of Cu7Te4.

Geometry as CIF:
```
data_Cu7Te4
_cell_length_a 7.7993
_cell_length_b 7.7993
_cell_length_c 8.1388
_cell_angle_alpha 90.01
_cell_angle_beta 90.01
_cell_angle_gamma 57.77
_symmetry_space_group_name_H-M 'P 1'
_symmetry_Int_Tables_number 1
loop_
_symmetry_equiv_pos_as_xyz
'x,y,z'
loop_
_atom_site_label
_atom_site_type_symbol
_atom_site_fract_x
_atom_site_fract_y
_atom_site_fract_z
Cu1 Cu 0.0000 0.0000 0.0000
Cu2 Cu 0.0073 0.6138 0.9675
Cu3 Cu 0.0113 0.0113 0.5215
Cu4 Cu 0.3464 0.3464 0.3958
Cu5 Cu 0.3654 0.9160 0.3865
Cu6 Cu 0.4025 0.4025 0.0306
Cu7 Cu 0.4024 0.8244 0.0118
Cu8 Cu 0.5392 0.5392 0.4889
Cu9 Cu 0.6138 0.0073 0.9675
Cu10 Cu 0.6256 0.9904 0.4944
Cu11 Cu 0.8244 0.4024 0.0118
Cu12 Cu 0.8761 0.8761 0.7326
Cu13 Cu 0.9160 0.3654 0.3865
Cu14 Cu 0.9904 0.6256 0.4944
Te1 Te 0.2001 0.7156 0.2935
Te2 Te 0.2075 0.2075 0.6061
Te3 Te 0.2108 0.2108 0.0859
Te4 Te 0.2493 0.6941 0.8036
Te5 Te 0.6920 0.6920 0.6920
Te6 Te 0.6941 0.2493 0.8036
Te7 Te 0.7156 0.2001 0.2935
Te8 Te 0.7192 0.7192 0.1986
```

Energy relative to the elements = -0.7 eV/f.u.
MP2020-corrected energy = -3.820 eV/atom
Polymorph energy (0 for the lowest one) = 0.000 eV/atom
Space-group type = No. 8